This record from Materials Project describes a geometry-optimized CeFeSi2 structure. The functional is GGA-PBE.

symmetry = Cmcm
ΔE_f = -0.59 eV/atom

The structure in POSCAR format:
```
CeFeSi2
1.0
-4.9247 4.3561 -5.5519
1.3325 -6.1489 5.8708
-1.0166 2.5536 2.9053
Si Fe Ce
4 2 2
direct
0.0401 0.9599 0.7500 Si
0.2502 0.7498 0.2500 Si
0.7498 0.2502 0.7500 Si
0.9599 0.0401 0.2500 Si
0.8247 0.1753 0.2500 Fe
0.1753 0.8247 0.7500 Fe
0.6106 0.3894 0.2500 Ce
0.3894 0.6106 0.7500 Ce
```



This record from Materials Project describes a geometry-optimized CeFeSi2 structure. The functional is GGA-PBE.

symmetry = Cmcm
ΔE_f = -0.65 eV/atom

The structure in POSCAR format:
```
CeFeSi2
1.0
2.0361 -8.2514 0.0000
2.0361 8.2514 0.0000
0.0000 0.0000 4.0224
Si Fe Ce
4 2 2
direct
0.9635 0.0365 0.2500 Si
0.0365 0.9635 0.7500 Si
0.8147 0.1853 0.2500 Si
0.1853 0.8147 0.7500 Si
0.7497 0.2503 0.7500 Fe
0.2503 0.7497 0.2500 Fe
0.3902 0.6098 0.7500 Ce
0.6098 0.3902 0.2500 Ce
```



This record from Materials Project describes a geometry-optimized Ce3Ti6Fe23 structure. The functional is GGA-PBE.

symmetry = C2/m
ΔE_f = -0.11 eV/atom

The structure in POSCAR format:
```
Ce3Ti6Fe23
1.0
4.8922 4.3188 -0.5315
4.8922 -4.3188 -0.5315
-0.0963 0.0000 -10.5767
Fe Ti Ce
23 6 3
direct
0.1266 0.6923 0.7989 Fe
0.5000 0.5000 0.5000 Fe
0.3077 0.8734 0.2011 Fe
0.1693 0.4602 0.6192 Fe
0.6871 0.1850 0.4072 Fe
0.4602 0.1693 0.6192 Fe
0.0000 0.5000 0.0000 Fe
0.5398 0.8307 0.3808 Fe
0.4094 0.9067 0.7964 Fe
0.8150 0.3129 0.5928 Fe
0.7291 0.7291 0.8871 Fe
0.9070 0.9070 0.2959 Fe
0.6923 0.1266 0.7989 Fe
0.1850 0.6871 0.4072 Fe
0.8307 0.5398 0.3808 Fe
0.5906 0.0933 0.2036 Fe
0.0930 0.0930 0.7041 Fe
0.0933 0.5906 0.2036 Fe
0.2709 0.2709 0.1129 Fe
0.5000 0.0000 0.0000 Fe
0.8734 0.3077 0.2011 Fe
0.9067 0.4094 0.7964 Fe
0.3129 0.8150 0.5928 Fe
0.4693 0.4693 0.2627 Ti
0.7181 0.7181 0.1386 Ti
0.6543 0.3457 0.0000 Ti
0.2819 0.2819 0.8614 Ti
0.5307 0.5307 0.7373 Ti
0.3457 0.6543 0.0000 Ti
0.0000 0.0000 0.0000 Ce
0.1720 0.1720 0.4067 Ce
0.8280 0.8280 0.5933 Ce
```



This record from Materials Project describes a geometry-optimized CeTiFe11 structure. The functional is GGA-PBE.

symmetry = Imm2
ΔE_f = -0.06 eV/atom

The structure in POSCAR format:
```
CeTiFe11
1.0
-3.6844 -2.5293 1.3662
1.7568 -4.5580 4.2920
0.8997 5.1179 3.9090
Fe Ce Ti
11 1 1
direct
0.2723 0.2277 0.7723 Fe
0.4992 0.2236 0.2221 Fe
0.4992 0.7779 0.7764 Fe
0.5009 0.9992 0.5002 Fe
0.0016 0.6406 0.6438 Fe
0.5009 0.4998 0.0008 Fe
0.0001 0.9992 0.5002 Fe
0.3549 0.6451 0.3549 Fe
0.0016 0.3562 0.3594 Fe
0.7329 0.7671 0.2329 Fe
0.0001 0.4998 0.0008 Fe
0.0068 0.9932 0.0068 Ce
0.6295 0.3705 0.6295 Ti
```